Entry 1:
Compound: Ta2Mn4O9
Source: the Materials Project database
Functional: GGA+U
Structure: optimized geometry

Geometry as POSCAR:
```
Ta2Mn4O9
1.0
-0.5000 -0.7407 5.3064
2.6332 -3.6205 -2.9858
12.4140 7.2315 2.1791
O Mn Ta
18 8 4
Cartesian
11.2153 2.8045 -0.5255
7.5975 2.4089 5.5199
0.7963 0.0079 3.7840
7.3641 -1.0194 1.5308
8.6819 1.3156 2.9701
12.8376 3.6049 3.4521
3.8319 0.8063 -0.2810
12.2112 5.3765 1.1411
13.7506 2.8622 0.7157
2.3356 -2.5065 3.3586
5.5983 -2.0175 -0.9733
11.5819 1.2674 2.4871
1.7092 -0.7347 1.0475
4.6467 -1.3470 2.2233
5.8650 1.5545 1.5296
7.1827 3.8896 2.9688
9.9005 4.2173 2.2761
6.9494 0.4613 -1.0202
11.5785 3.1589 1.5317
1.8186 -2.5269 -0.1813
2.9702 -0.2876 2.9681
8.0255 1.0891 0.9081
9.1771 3.3281 4.0577
5.3718 -0.4571 0.4421
12.7287 5.3969 4.6813
6.5217 1.7814 3.5916
4.4230 2.5765 0.7764
1.7834 1.0389 0.3131
12.7632 1.8311 4.1865
10.1236 0.2935 3.7232
```

Values from the calculation:
For the calculated formation energy, the calculation gives -2.682 eV per atom. The symmetry is P-3c1. The value obtained for the energy above the most stable polymorph in this dataset is 0.0 meV/atom. The total energy comes out at -8.818 eV/atom. The value obtained for the calculated volume is 12.146 Å³/atom.

***

Entry 2:
Compound: Li5Mn4P8O28
Source: the Materials Project database
Functional: GGA+U
Structure: optimized geometry

Geometry as POSCAR:
```
Li5Mn4P8O28
1.0
9.8000 0.0000 0.0000
0.0198 9.8062 0.0000
2.5429 0.0024 10.9821
O P Mn Li
56 16 8 10
Cartesian
6.0080 3.4500 6.2362
9.0405 9.2744 5.7695
1.2214 3.9913 4.0686
7.1717 8.2309 0.0145
8.2962 6.7733 7.7335
6.2988 9.0005 6.8908
10.7781 3.9899 8.6048
1.5462 3.4720 1.5616
3.3993 8.0561 7.5462
3.0081 0.7559 7.7867
2.2586 8.1019 1.7265
10.1640 1.6578 9.0771
7.7520 5.4829 9.7933
7.4682 2.2783 10.1404
10.9295 1.5307 6.2564
3.9972 3.1546 3.3352
1.4531 5.8435 2.4319
6.4578 8.9231 2.3573
8.1489 4.3010 5.0772
10.8287 6.4006 9.2677
4.0302 5.5343 5.7177
6.4032 4.0416 2.9634
7.9682 4.2560 7.6320
10.8652 8.9426 8.0394
4.2451 0.4734 2.3041
9.1288 4.3988 2.3568
4.9423 7.5273 0.9185
5.9397 5.7334 7.9857
3.2385 2.8886 6.5161
2.5424 2.6598 10.0827
4.1684 7.7539 4.5630
2.7218 1.3621 0.0239
6.2899 6.4106 4.8263
1.5020 0.9151 2.9462
6.0555 8.4018 9.4075
9.4741 0.6289 1.1713
3.2203 5.2427 8.6211
6.4488 1.5470 1.7244
9.4017 9.0997 3.2811
5.2129 3.2172 9.2545
4.4527 5.6470 3.2385
8.1433 2.1169 6.3947
2.9636 9.1185 9.7806
2.1980 6.2160 0.0254
8.2175 9.4037 8.5708
7.5714 3.3628 0.0060
5.9914 0.9632 8.5834
9.0107 6.9987 4.5093
8.8697 1.7567 3.3133
11.2375 5.6828 6.8205
3.3145 0.6179 5.2960
7.1181 6.5745 1.9849
6.0192 0.7392 4.1625
4.5630 4.2551 1.1807
9.8030 7.1760 0.8563
1.3893 8.2148 4.8570
7.4577 5.6101 8.3196
7.5589 3.5152 6.2562
6.0462 2.0399 9.7913
11.4567 5.3968 8.2627
0.8830 4.3630 2.6791
10.8829 2.8402 9.7372
1.4227 6.9211 1.2025
4.9053 4.2157 2.6501
6.3971 7.7290 1.2704
5.7932 0.5453 2.7012
6.6383 9.3074 8.3045
4.7860 6.3638 4.6596
9.6753 8.3307 4.7050
9.8045 0.6973 2.6452
2.5779 9.1073 8.3189
2.6720 1.4662 6.3681
2.8120 9.0723 3.5861
4.6298 4.1655 7.3856
7.9027 2.8213 1.9447
9.5591 0.7474 7.3659
3.0017 2.1227 1.9237
7.7136 5.6453 3.6731
9.3900 7.7217 9.0486
4.4965 7.0169 9.0604
4.7935 9.1830 5.8130
2.7544 4.1234 5.0808
7.6736 0.7659 5.0642
3.8869 4.0610 10.4888
8.2693 3.8438 10.6852
3.3334 1.0327 10.6493
2.4783 7.0602 6.0201
4.1181 5.9352 0.3240
9.0223 8.7451 0.2911
3.5871 8.9205 0.4745
```

Values from the calculation:
For the calculated formation energy, the calculation gives -2.549 eV per atom. The symmetry is P1. The value obtained for the energy above the most stable polymorph in this dataset is 8.0 meV/atom. The total energy comes out at -7.041 eV/atom. The value obtained for the calculated volume is 11.727 Å³/atom. Its size of the total moment is 34.00 Bohr magnetons per cell.

***

Entry 3:
Compound: Li2VPO4F
Source: the Materials Project database
Functional: GGA+U
Structure: optimized geometry

Geometry as POSCAR:
```
Li2VPO4F
1.0
-1.5182 4.9247 -0.4086
-1.8713 -1.5101 -11.2493
-12.3991 -3.6110 2.5473
V Li O F P
8 16 32 8 8
Cartesian
-7.0102 -1.0234 -0.7127
-8.1529 1.4917 -2.7095
-14.8885 -1.2686 -7.1001
-7.6357 -1.6881 -6.4011
-13.9247 -3.2035 -5.1515
-0.9001 1.0722 -2.0104
-1.8639 3.0071 -3.9591
-8.7784 0.8270 -8.3979
-4.8809 -0.5503 -7.0698
-6.8207 1.5698 -6.0129
-12.9635 -0.4196 -4.7239
-12.1153 -0.1160 -7.6584
-8.9679 -1.7662 -3.0977
-6.6049 -1.5606 -9.4000
-9.1837 1.3642 0.2895
-3.6733 -0.0804 -1.4522
-10.9077 0.3539 -2.0407
-2.8250 0.2232 -4.3866
-2.9275 2.9858 -0.9689
-10.9774 -2.6901 -5.7684
-12.8611 -3.1822 -8.1416
-5.8127 1.3551 -8.9043
-9.9759 -1.5515 -0.2062
-4.8112 2.4938 -3.3421
-2.5029 0.1768 -9.6630
-13.6544 -1.0951 -8.8299
-5.0546 1.5905 -6.9657
-9.4553 -1.1616 -5.2584
-4.3423 -0.6047 -3.3668
-10.3323 -0.6820 -8.8475
-12.2484 -2.5294 -4.0195
-11.4463 0.4083 -5.7437
-2.1342 0.8988 -0.2806
-6.7194 -1.3467 -2.8754
-10.7340 -1.7869 -2.1448
-5.4563 0.4856 -0.2631
-3.5402 2.3330 -5.0910
-8.4823 -2.3427 -8.3301
-7.3063 2.1463 -0.7804
-13.1391 -2.4382 -1.6610
-8.2088 -1.3120 1.0267
-6.3333 0.9652 -3.8522
-4.5987 2.6351 -10.2465
-7.5798 1.1156 -10.1372
-13.2857 -0.3732 0.5525
-4.9024 2.7967 -1.2713
-10.8862 -2.9931 -7.8393
-4.8788 -0.5642 -9.1646
-2.6495 2.2418 -7.4495
-9.0692 1.1503 -6.2351
-9.8647 0.9328 -3.8509
-5.9239 -1.1292 -5.2596
-10.9098 0.3679 0.0541
-11.1899 -2.8314 1.1360
-12.9989 0.6713 -2.7039
-2.7897 -0.8676 -6.4066
-8.7177 -0.0967 -1.4777
-7.0709 -0.0997 -7.6329
-8.3088 -2.6611 -1.2014
-12.5114 -4.3675 -6.1549
-2.8683 1.6068 -2.6794
-12.9203 -1.8032 -6.4311
-1.7590 -0.7536 -2.5471
-5.9616 -2.4601 -7.5005
-3.9187 2.5539 -6.5778
-3.6425 -0.8368 -10.0399
-9.9853 0.3170 -5.2683
-5.8033 -0.5134 -3.8422
-11.8699 -2.7503 -2.5327
-5.8135 2.0146 -0.3085
-12.1461 0.6404 0.9294
-9.9750 -2.2109 -8.8020
```

Values from the calculation:
For the calculated formation energy, the calculation gives -2.710 eV per atom. The symmetry is Pbcn. The value obtained for the energy above the most stable polymorph in this dataset is 36.0 meV/atom. The total energy comes out at -6.611 eV/atom. The value obtained for the calculated volume is 10.872 Å³/atom. Its size of the total moment is 24.00 Bohr magnetons per cell.